1.
Na4TiP2O9: optimized geometry, PBE.

Cell lengths 7.6341, 13.4088, 20.7624 Å; angles 85.06, 90.00, 90.00 degrees
Closest atoms and distances in Å follow each position.
Sites, in units of the cell vectors:
Na 0.9839 0.8970 0.2014  5 O 2.36-2.60
Na 0.4202 0.5000 0.2500  6 O 2.44-2.55
Na 0.9500 0.7037 0.6376  4 O 2.33-2.58
Na 0.2733 0.9043 0.8317  4 O 2.22-2.42
Na 0.0210 0.2989 0.1603  4 O 2.31-2.49
Na 0.5395 0.6991 0.8473  5 O 2.35-2.51
Na 0.4605 0.3009 0.1527  5 O 2.35-2.51
Na 0.2558 0.5074 0.6380  5 O 2.26-2.53
Na 0.4734 0.0954 0.0519  6 O 2.37-2.59
Na 0.0500 0.2963 0.3624  4 O 2.33-2.58
Na 0.9500 0.2963 0.8624  4 O 2.33-2.58
Na 0.2127 0.7116 0.4804  4 O 2.26-2.52
Na 0.7873 0.2884 0.5196  4 O 2.26-2.52
Na 0.9790 0.2989 0.6603  4 O 2.31-2.49
Na 0.2000 0.9003 0.0555  2 O 2.23
Na 0.7267 0.0957 0.1683  4 O 2.22-2.42
Na 0.5266 0.9046 0.9481  6 O 2.37-2.59
Na 0.7267 0.9043 0.3317  4 O 2.22-2.42
Na 0.0500 0.7037 0.1376  4 O 2.33-2.58
Na 0.9790 0.7011 0.8397  4 O 2.31-2.49
Na 0.9839 0.1030 0.2986  5 O 2.36-2.60
Na 0.0000 0.5000 0.0000  6 O 2.42-2.52
Na 0.5395 0.3009 0.6527  5 O 2.35-2.51
Na 0.7873 0.7116 0.9804  4 O 2.26-2.52
Na 0.2000 0.0997 0.4445  2 O 2.23
Na 0.0161 0.8970 0.7014  5 O 2.36-2.60
Na 0.5798 0.5000 0.7500  6 O 2.44-2.55
Na 0.7442 0.5074 0.1380  5 O 2.26-2.53
Na 0.4605 0.6991 0.3473  5 O 2.35-2.51
Na 0.0000 0.5000 0.5000  6 O 2.42-2.52
Na 0.0161 0.1030 0.7986  5 O 2.36-2.60
Na 0.8000 0.9003 0.5555  2 O 2.23
Na 0.2127 0.2884 0.0196  4 O 2.26-2.52
Na 0.4734 0.9046 0.4481  6 O 2.37-2.59
Na 0.0210 0.7011 0.3397  4 O 2.31-2.49
Na 0.2558 0.4926 0.8620  5 O 2.26-2.53
Na 0.7442 0.4926 0.3620  5 O 2.26-2.53
Na 0.5266 0.0954 0.5519  6 O 2.37-2.59
Na 0.2733 0.0957 0.6683  4 O 2.22-2.42
Na 0.8000 0.0997 0.9445  2 O 2.23
Ti 0.5397 0.1028 0.7996  6 O 1.91-2.07
Ti 0.5233 0.2993 0.9005  6 O 1.91-2.04
Ti 0.4767 0.2993 0.4005  6 O 1.91-2.04
Ti 0.4603 0.8972 0.2004  6 O 1.91-2.07
Ti 0.5000 0.5000 0.0000  6 O 1.91-2.01
Ti 0.4603 0.1028 0.2996  6 O 1.91-2.07
Ti 0.5397 0.8972 0.7004  6 O 1.91-2.07
Ti 0.5233 0.7007 0.5995  6 O 1.91-2.04
Ti 0.4767 0.7007 0.0995  6 O 1.91-2.04
Ti 0.5000 0.5000 0.5000  6 O 1.91-2.01
P 0.2603 0.1034 0.9261  4 O 1.53-1.58
P 0.2078 0.9021 0.3319  4 O 1.53-1.58
P 0.7837 0.4966 0.8766  4 O 1.53-1.58
P 0.2603 0.8966 0.5739  4 O 1.53-1.58
P 0.7922 0.9021 0.8319  4 O 1.53-1.58
P 0.2572 0.7000 0.9593  4 O 1.53-1.58
P 0.7152 0.2995 0.2648  4 O 1.53-1.58
P 0.7428 0.7000 0.4593  4 O 1.53-1.58
P 0.7922 0.0979 0.6681  4 O 1.53-1.58
P 0.2848 0.2995 0.7648  4 O 1.53-1.58
P 0.7837 0.5034 0.6234  4 O 1.53-1.58
P 0.2163 0.4966 0.3766  4 O 1.53-1.58
P 0.2078 0.0979 0.1681  4 O 1.53-1.58
P 0.2163 0.5034 0.1234  4 O 1.53-1.58
P 0.2848 0.7005 0.7352  4 O 1.53-1.58
P 0.7397 0.1034 0.4261  4 O 1.53-1.58
P 0.7428 0.3000 0.0407  4 O 1.53-1.58
P 0.2572 0.3000 0.5407  4 O 1.53-1.58
P 0.7397 0.8966 0.0739  4 O 1.53-1.58
P 0.7152 0.7005 0.2352  4 O 1.53-1.58
O 0.0722 0.1400 0.9128  1 P 1.53
O 0.5835 0.6020 0.0512  2 Ti 1.91
O 0.2839 0.0155 0.9779  1 P 1.54
O 0.0722 0.8600 0.5872  1 P 1.53
O 0.6654 0.3869 0.2157  1 P 1.53
O 0.6852 0.9946 0.8526  1 P 1.58
O 0.7611 0.4150 0.6746  1 P 1.53
O 0.9278 0.1400 0.4128  1 P 1.53
O 0.6326 0.6045 0.4448  1 P 1.58
O 0.7537 0.1868 0.6182  1 P 1.54
O 0.9367 0.6748 0.4515  1 P 1.53
O 0.6726 0.5936 0.6456  1 P 1.58
O 0.3347 0.6738 0.6653  1 P 1.57
O 0.2910 0.2741 0.4690  1 P 1.58
O 0.7288 0.1259 0.7367  1 P 1.58
O 0.5835 0.3980 0.4488  2 Ti 1.91
O 0.9367 0.3252 0.0485  1 P 1.53
O 0.4165 0.6020 0.5512  2 Ti 1.91
O 0.5548 0.0000 0.2500  2 Ti 1.93
O 0.7161 0.9845 0.0221  1 P 1.54
O 0.9861 0.0712 0.6770  1 P 1.53
O 0.3148 0.0054 0.1474  1 P 1.58
O 0.3257 0.7863 0.9126  1 P 1.54
O 0.0633 0.3252 0.5485  1 P 1.53
O 0.3734 0.1920 0.9499  1 P 1.58
O 0.0906 0.2706 0.7642  1 P 1.53
O 0.2463 0.8132 0.3818  1 P 1.54
O 0.6035 0.2059 0.2480  1 P 1.58
O 0.4452 0.0000 0.7500  2 Ti 1.93
O 0.4165 0.3980 0.9488  2 Ti 1.91
O 0.6743 0.2137 0.0874  1 P 1.54
O 0.0139 0.0712 0.1770  1 P 1.53
O 0.7288 0.8741 0.7633  1 P 1.58
O 0.6035 0.7941 0.2520  1 P 1.58
O 0.7537 0.8132 0.8818  1 P 1.54
O 0.6852 0.0054 0.6474  1 P 1.58
O 0.6313 0.8021 0.6456  2 Ti 1.91-1.92
O 0.6653 0.3262 0.3347  1 P 1.57
O 0.9278 0.8600 0.0872  1 P 1.53
O 0.9730 0.5384 0.6115  1 P 1.53
O 0.7090 0.2741 0.9690  1 P 1.58
O 0.9094 0.2706 0.2642  1 P 1.53
O 0.2712 0.8741 0.2633  1 P 1.58
O 0.3674 0.3955 0.5552  1 P 1.58
O 0.6622 0.0710 0.3607  1 P 1.58
O 0.0270 0.4616 0.3885  1 P 1.53
O 0.7611 0.5850 0.8254  1 P 1.53
O 0.2712 0.1259 0.2367  1 P 1.58
O 0.3257 0.2137 0.5874  1 P 1.54
O 0.3687 0.8021 0.1456  2 Ti 1.91-1.92
O 0.7107 0.5274 0.9433  1 P 1.58
O 0.3378 0.0710 0.8607  1 P 1.58
O 0.6654 0.6131 0.2843  1 P 1.53
O 0.3274 0.4064 0.3544  1 P 1.58
O 0.0633 0.6748 0.9515  1 P 1.53
O 0.9861 0.9288 0.8230  1 P 1.53
O 0.2910 0.7259 0.0310  1 P 1.58
O 0.6622 0.9290 0.1393  1 P 1.58
O 0.0270 0.5384 0.1115  1 P 1.53
O 0.6313 0.1979 0.8544  2 Ti 1.91-1.92
O 0.2463 0.1868 0.1182  1 P 1.54
O 0.2839 0.9845 0.5221  1 P 1.54
O 0.9094 0.7294 0.2358  1 P 1.53
O 0.2893 0.5274 0.4433  1 P 1.58
O 0.6266 0.8080 0.0501  1 P 1.58
O 0.6726 0.4064 0.8544  1 P 1.58
O 0.6326 0.3955 0.0552  1 P 1.58
O 0.9730 0.4616 0.8885  1 P 1.53
O 0.3687 0.1979 0.3544  2 Ti 1.91-1.92
O 0.7090 0.7259 0.5310  1 P 1.58
O 0.2389 0.5850 0.3254  1 P 1.53
O 0.3148 0.9946 0.3526  1 P 1.58
O 0.6743 0.7863 0.4126  1 P 1.54
O 0.3346 0.3869 0.7157  1 P 1.53
O 0.6653 0.6738 0.1653  1 P 1.57
O 0.2893 0.4726 0.0567  1 P 1.58
O 0.3346 0.6131 0.7843  1 P 1.53
O 0.0906 0.7294 0.7358  1 P 1.53
O 0.3347 0.3262 0.8347  1 P 1.57
O 0.2389 0.4150 0.1746  1 P 1.53
O 0.3734 0.8080 0.5501  1 P 1.58
O 0.3674 0.6045 0.9448  1 P 1.58
O 0.6266 0.1920 0.4499  1 P 1.58
O 0.7161 0.0155 0.4779  1 P 1.54
O 0.7107 0.4726 0.5567  1 P 1.58
O 0.3965 0.7941 0.7520  1 P 1.58
O 0.3378 0.9290 0.6393  1 P 1.58
O 0.0139 0.9288 0.3230  1 P 1.53
O 0.3274 0.5936 0.1456  1 P 1.58
O 0.3965 0.2059 0.7480  1 P 1.58

Excess energy over the best structure of this formula in the dataset ... 0.000 eV/atom
Calculated total energy ... -1069.79 eV per cell
MP2020-corrected energy ... -1131.615 eV per cell
Energy of formation ... -2.79 eV/atom

=====

2.
Sr2CuCl2O2: optimized geometry, PBE.

Cell lengths 8.5138, 8.5138, 8.5138 Å; angles 152.90, 152.90, 38.70 degrees
Closest atoms and distances in Å follow each position.
Sites, in units of the cell vectors:
Sr 0.6065 0.6065 0.0000  4 O 2.63
Sr 0.3935 0.3935 0.0000  4 O 2.63
Cu 0.0000 0.0000 0.0000  4 O 1.99
Cl 0.1824 0.1824 0.0000  1 Cu 2.93, 4 Sr 3.07
Cl 0.8176 0.8176 0.0000  1 Cu 2.93, 4 Sr 3.07
O 0.0000 0.5000 0.5000  2 Cu 1.99
O 0.5000 0.0000 0.5000  2 Cu 1.99

Calculated total energy ... -35.61 eV per cell
MP2020-corrected energy ... -36.986 eV per cell
Energy of formation ... -2.27 eV/atom

=====

3.
US2: optimized geometry, PBE.

Cell lengths 5.2131, 7.9311, 7.9311 Å; angles 96.20, 109.19, 70.81 degrees
Closest atoms and distances in Å follow each position.
Sites, in units of the cell vectors:
U 0.3383 0.5000 0.1765  10 S 2.75-3.03
U 0.6617 0.5000 0.8235  10 S 2.75-3.03
U 0.8383 0.8235 0.5000  10 S 2.75-3.03
U 0.1617 0.1765 0.5000  10 S 2.75-3.03
U 0.2500 0.0000 0.0000  8 S 2.79
S 0.4159 0.8623 0.6995  5 U 2.79-3.03, 2 S 2.99-3.10
S 0.5787 0.1377 0.3005  5 U 2.79-3.03, 2 S 2.99-3.10
S 0.9213 0.3005 0.1377  5 U 2.79-3.03, 2 S 2.99-3.10
S 0.0841 0.6995 0.8623  5 U 2.79-3.03, 2 S 2.99-3.10
S 0.7164 0.6995 0.1377  5 U 2.79-3.03, 2 S 2.99-3.10
S 0.2782 0.3005 0.8623  5 U 2.79-3.03, 2 S 2.99-3.10
S 0.7836 0.1377 0.6995  5 U 2.79-3.03, 2 S 2.99-3.10
S 0.2218 0.8623 0.3005  5 U 2.79-3.03, 2 S 2.99-3.10
S 0.2500 0.5000 0.5000  2 S 2.61, 4 U 2.75
S 0.7500 0.5000 0.5000  2 S 2.61, 4 U 2.75

Calculated total energy ... -118.21 eV per cell
MP2020-corrected energy ... -123.240 eV per cell
Energy of formation ... -1.69 eV/atom